Record 1
An optimized crystal structure of Li6CaCeO6. Source: Materials Project, functional PBE.

Summary:
calculated volume	11.44	A^3/atom
calculated total energy	-163.21	eV for the cell shown
M_tot	0.0	μB per cell
symmetry	P-31c, No. 163
total energy after the MP2020 corrections	-171.458	eV/cell

CIF file:
```
data_Li6CaCeO6
_chemical_formula_sum 'Li12 Ca2 Ce2 O12'
_cell_length_a 5.867
_cell_length_b 5.867
_cell_length_c 10.743
_cell_angle_alpha 90.00
_cell_angle_beta 90.00
_cell_angle_gamma 120.00
_symmetry_space_group_name_H-M 'P 1'
_symmetry_Int_Tables_number 1
_symmetry_space_group_name_Hall 'P 1'
loop_
_atom_site_label
_atom_site_type_symbol
_atom_site_fract_x
_atom_site_fract_y
_atom_site_fract_z
_atom_site_occupancy
Li1 Li 0.059 0.369 0.065 1
Li2 Li 0.059 0.690 0.435 1
Li3 Li 0.310 0.369 0.435 1
Li4 Li 0.310 0.941 0.065 1
Li5 Li 0.369 0.059 0.565 1
Li6 Li 0.369 0.310 0.935 1
Li7 Li 0.631 0.690 0.065 1
Li8 Li 0.631 0.941 0.435 1
Li9 Li 0.690 0.059 0.935 1
Li10 Li 0.690 0.631 0.565 1
Li11 Li 0.941 0.310 0.565 1
Li12 Li 0.941 0.631 0.935 1
Ca1 Ca 0.000 0.000 0.250 1
Ca2 Ca 0.000 0.000 0.750 1
Ce1 Ce 0.333 0.667 0.750 1
Ce2 Ce 0.667 0.333 0.250 1
O1 O 0.044 0.347 0.881 1
O2 O 0.044 0.697 0.619 1
O3 O 0.303 0.347 0.619 1
O4 O 0.303 0.956 0.881 1
O5 O 0.347 0.044 0.381 1
O6 O 0.347 0.303 0.119 1
O7 O 0.653 0.697 0.881 1
O8 O 0.653 0.956 0.619 1
O9 O 0.697 0.044 0.119 1
O10 O 0.697 0.653 0.381 1
O11 O 0.956 0.303 0.381 1
O12 O 0.956 0.653 0.119 1
```

Record 2
An optimized crystal structure of K3Sb. Source: Materials Project, functional PBE.

Summary:
calculated volume	44.21	A^3/atom
calculated total energy	-18.15	eV for the cell shown
excess energy over the best structure of this formula in the dataset	0.000	eV per atom
symmetry	P6_3/mmc, No. 194
total energy after the MP2020 corrections	-18.529	eV/cell

CIF file:
```
data_K3Sb
_chemical_formula_sum 'K6 Sb2'
_cell_length_a 6.128
_cell_length_b 6.128
_cell_length_c 10.877
_cell_angle_alpha 90.00
_cell_angle_beta 90.00
_cell_angle_gamma 120.00
_symmetry_space_group_name_H-M 'P 1'
_symmetry_Int_Tables_number 1
_symmetry_space_group_name_Hall 'P 1'
loop_
_atom_site_label
_atom_site_type_symbol
_atom_site_fract_x
_atom_site_fract_y
_atom_site_fract_z
_atom_site_occupancy
K1 K 0.000 0.000 0.250 1
K2 K 0.000 0.000 0.750 1
K3 K 0.333 0.667 0.081 1
K4 K 0.333 0.667 0.419 1
K5 K 0.667 0.333 0.581 1
K6 K 0.667 0.333 0.919 1
Sb1 Sb 0.333 0.667 0.750 1
Sb2 Sb 0.667 0.333 0.250 1
```

Record 3
An optimized crystal structure of Ba2NdNbO6. Source: Materials Project, functional PBE.

Summary:
calculated volume	16.39	A^3/atom
calculated total energy	-311.59	eV for the cell shown
M_tot	0.0	μB per cell
symmetry	Pn-3, No. 201
total energy after the MP2020 corrections	-328.075	eV/cell

CIF file:
```
data_Ba2NdNbO6
_chemical_formula_sum 'Ba8 Nd4 Nb4 O24'
_cell_length_a 8.687
_cell_length_b 8.687
_cell_length_c 8.687
_cell_angle_alpha 90.00
_cell_angle_beta 90.00
_cell_angle_gamma 90.00
_symmetry_space_group_name_H-M 'P 1'
_symmetry_Int_Tables_number 1
_symmetry_space_group_name_Hall 'P 1'
loop_
_atom_site_label
_atom_site_type_symbol
_atom_site_fract_x
_atom_site_fract_y
_atom_site_fract_z
_atom_site_occupancy
Ba1 Ba 0.250 0.250 0.250 1
Ba2 Ba 0.250 0.250 0.750 1
Ba3 Ba 0.250 0.750 0.250 1
Ba4 Ba 0.250 0.750 0.750 1
Ba5 Ba 0.750 0.250 0.250 1
Ba6 Ba 0.750 0.250 0.750 1
Ba7 Ba 0.750 0.750 0.250 1
Ba8 Ba 0.750 0.750 0.750 1
Nd1 Nd 0.000 0.000 0.000 1
Nd2 Nd 0.000 0.500 0.500 1
Nd3 Nd 0.500 0.000 0.500 1
Nd4 Nd 0.500 0.500 0.000 1
Nb1 Nb 0.000 0.000 0.500 1
Nb2 Nb 0.000 0.500 0.000 1
Nb3 Nb 0.500 0.000 0.000 1
Nb4 Nb 0.500 0.500 0.500 1
O1 O 0.023 0.525 0.769 1
O2 O 0.023 0.975 0.731 1
O3 O 0.025 0.231 0.523 1
O4 O 0.025 0.269 0.977 1
O5 O 0.231 0.523 0.025 1
O6 O 0.231 0.977 0.475 1
O7 O 0.269 0.523 0.475 1
O8 O 0.269 0.977 0.025 1
O9 O 0.475 0.231 0.977 1
O10 O 0.475 0.269 0.523 1
O11 O 0.477 0.525 0.731 1
O12 O 0.477 0.975 0.769 1
O13 O 0.523 0.025 0.231 1
O14 O 0.523 0.475 0.269 1
O15 O 0.525 0.731 0.477 1
O16 O 0.525 0.769 0.023 1
O17 O 0.731 0.023 0.975 1
O18 O 0.731 0.477 0.525 1
O19 O 0.769 0.023 0.525 1
O20 O 0.769 0.477 0.975 1
O21 O 0.975 0.731 0.023 1
O22 O 0.975 0.769 0.477 1
O23 O 0.977 0.025 0.269 1
O24 O 0.977 0.475 0.231 1
```

Record 4
An optimized crystal structure of SrB2S4. Source: Materials Project, functional PBE.

Summary:
calculated volume	23.22	A^3/atom
calculated total energy	-114.50	eV for the cell shown
excess energy over the best structure of this formula in the dataset	0.008	eV per atom
symmetry	R-3, No. 148
total energy after the MP2020 corrections	-120.540	eV/cell

CIF file:
```
data_SrB2S4
_chemical_formula_sum 'Sr3 B6 S12'
_cell_length_a 8.970
_cell_length_b 8.970
_cell_length_c 8.970
_cell_angle_alpha 58.06
_cell_angle_beta 58.06
_cell_angle_gamma 58.06
_symmetry_space_group_name_H-M 'P 1'
_symmetry_Int_Tables_number 1
_symmetry_space_group_name_Hall 'P 1'
loop_
_atom_site_label
_atom_site_type_symbol
_atom_site_fract_x
_atom_site_fract_y
_atom_site_fract_z
_atom_site_occupancy
Sr1 Sr 0.000 0.000 0.000 1
Sr2 Sr 0.191 0.191 0.191 1
Sr3 Sr 0.809 0.809 0.809 1
B1 B 0.236 0.387 0.634 1
B2 B 0.366 0.764 0.613 1
B3 B 0.387 0.634 0.236 1
B4 B 0.613 0.366 0.764 1
B5 B 0.634 0.236 0.387 1
B6 B 0.764 0.613 0.366 1
S1 S 0.048 0.374 0.856 1
S2 S 0.144 0.952 0.626 1
S3 S 0.185 0.611 0.450 1
S4 S 0.374 0.856 0.048 1
S5 S 0.389 0.550 0.815 1
S6 S 0.450 0.185 0.611 1
S7 S 0.550 0.815 0.389 1
S8 S 0.611 0.450 0.185 1
S9 S 0.626 0.144 0.952 1
S10 S 0.815 0.389 0.550 1
S11 S 0.856 0.048 0.374 1
S12 S 0.952 0.626 0.144 1
```

Record 5
An optimized crystal structure of YCr2Fe10. Source: Materials Project, functional PBE.

Summary:
calculated volume	12.76	A^3/atom
calculated total energy	-110.39	eV for the cell shown
M_tot	17.1	μB per cell
symmetry	Immm, No. 71

CIF file:
```
data_YCr2Fe10
_chemical_formula_sum 'Y1 Cr2 Fe10'
_cell_length_a 6.396
_cell_length_b 6.396
_cell_length_c 6.396
_cell_angle_alpha 137.04
_cell_angle_beta 98.06
_cell_angle_gamma 97.35
_symmetry_space_group_name_H-M 'P 1'
_symmetry_Int_Tables_number 1
_symmetry_space_group_name_Hall 'P 1'
loop_
_atom_site_label
_atom_site_type_symbol
_atom_site_fract_x
_atom_site_fract_y
_atom_site_fract_z
_atom_site_occupancy
Y1 Y 0.000 0.000 0.000 1
Cr1 Cr 0.368 0.368 0.000 1
Cr2 Cr 0.632 0.632 0.000 1
Fe1 Fe 0.000 0.000 0.500 1
Fe2 Fe 0.000 0.500 0.000 1
Fe3 Fe 0.226 0.500 0.726 1
Fe4 Fe 0.228 0.728 0.500 1
Fe5 Fe 0.359 0.000 0.359 1
Fe6 Fe 0.500 0.000 0.000 1
Fe7 Fe 0.500 0.500 0.500 1
Fe8 Fe 0.641 0.000 0.641 1
Fe9 Fe 0.772 0.272 0.500 1
Fe10 Fe 0.774 0.500 0.274 1
```

Record 6
An optimized crystal structure of Na2TiSiSnP2O12. Source: Materials Project, functional PBE.

Summary:
calculated volume	13.31	A^3/atom
calculated total energy	-808.94	eV for the cell shown
M_tot	0.0	μB per cell
symmetry	P1, No. 1
total energy after the MP2020 corrections	-858.403	eV/cell

CIF file:
```
data_Na2TiSiSnP2O12
_chemical_formula_sum 'Na12 Ti6 Si6 Sn6 P12 O72'
_cell_length_a 8.805
_cell_length_b 8.815
_cell_length_c 22.539
_cell_angle_alpha 89.90
_cell_angle_beta 90.00
_cell_angle_gamma 60.19
_symmetry_space_group_name_H-M 'P 1'
_symmetry_Int_Tables_number 1
_symmetry_space_group_name_Hall 'P 1'
loop_
_atom_site_label
_atom_site_type_symbol
_atom_site_fract_x
_atom_site_fract_y
_atom_site_fract_z
_atom_site_occupancy
Na1 Na 0.000 0.000 0.000 1
Na2 Na 0.001 0.001 0.499 1
Na3 Na 0.004 0.634 0.749 1
Na4 Na 0.035 0.669 0.416 1
Na5 Na 0.332 0.337 0.831 1
Na6 Na 0.335 0.972 0.084 1
Na7 Na 0.336 0.332 0.334 1
Na8 Na 0.635 0.001 0.249 1
Na9 Na 0.659 0.673 0.665 1
Na10 Na 0.672 0.030 0.917 1
Na11 Na 0.673 0.661 0.166 1
Na12 Na 0.969 0.336 0.583 1
Ti1 Ti 0.001 0.999 0.646 1
Ti2 Ti 0.005 0.009 0.353 1
Ti3 Ti 0.330 0.333 0.684 1
Ti4 Ti 0.344 0.332 0.481 1
Ti5 Ti 0.670 0.679 0.519 1
Ti6 Ti 0.997 0.003 0.147 1
Si1 Si 0.003 0.289 0.747 1
Si2 Si 0.048 0.628 0.581 1
Si3 Si 0.288 0.002 0.248 1
Si4 Si 0.632 0.044 0.082 1
Si5 Si 0.665 0.966 0.415 1
Si6 Si 0.966 0.666 0.915 1
Sn1 Sn 0.008 0.002 0.851 1
Sn2 Sn 0.332 0.337 0.185 1
Sn3 Sn 0.332 0.341 0.981 1
Sn4 Sn 0.664 0.669 0.314 1
Sn5 Sn 0.670 0.664 0.812 1
Sn6 Sn 0.675 0.667 0.018 1
P1 P 0.006 0.714 0.250 1
P2 P 0.041 0.335 0.083 1
P3 P 0.293 0.711 0.747 1
P4 P 0.333 0.629 0.083 1
P5 P 0.338 0.045 0.582 1
P6 P 0.376 0.959 0.916 1
P7 P 0.380 0.668 0.418 1
P8 P 0.622 0.336 0.583 1
P9 P 0.669 0.378 0.916 1
P10 P 0.707 0.009 0.748 1
P11 P 0.719 0.289 0.249 1
P12 P 0.959 0.377 0.417 1
O1 O 0.025 0.821 0.591 1
O2 O 0.030 0.166 0.090 1
O3 O 0.030 0.798 0.306 1
O4 O 0.043 0.174 0.807 1
O5 O 0.119 0.374 0.138 1
O6 O 0.137 0.500 0.640 1
O7 O 0.141 0.363 0.424 1
O8 O 0.157 0.492 0.920 1
O9 O 0.160 0.293 0.028 1
O10 O 0.164 0.028 0.306 1
O11 O 0.167 0.532 0.523 1
O12 O 0.169 0.033 0.589 1
O13 O 0.170 0.532 0.244 1
O14 O 0.173 0.814 0.090 1
O15 O 0.175 0.316 0.739 1
O16 O 0.178 0.782 0.804 1
O17 O 0.194 0.831 0.410 1
O18 O 0.194 0.978 0.912 1
O19 O 0.196 0.976 0.189 1
O20 O 0.201 0.831 0.694 1
O21 O 0.297 0.553 0.027 1
O22 O 0.303 0.167 0.528 1
O23 O 0.310 0.529 0.740 1
O24 O 0.314 0.174 0.246 1
O25 O 0.352 0.508 0.424 1
O26 O 0.367 0.132 0.638 1
O27 O 0.367 0.139 0.921 1
O28 O 0.370 0.514 0.139 1
O29 O 0.452 0.850 0.973 1
O30 O 0.470 0.697 0.471 1
O31 O 0.474 0.699 0.753 1
O32 O 0.486 0.830 0.252 1
O33 O 0.490 0.628 0.360 1
O34 O 0.494 0.157 0.426 1
O35 O 0.495 0.880 0.861 1
O36 O 0.497 0.651 0.077 1
O37 O 0.500 0.862 0.575 1
O38 O 0.506 0.362 0.638 1
O39 O 0.507 0.123 0.141 1
O40 O 0.507 0.352 0.920 1
O41 O 0.527 0.170 0.740 1
O42 O 0.535 0.305 0.244 1
O43 O 0.536 0.305 0.528 1
O44 O 0.550 0.159 0.022 1
O45 O 0.631 0.491 0.860 1
O46 O 0.632 0.884 0.356 1
O47 O 0.638 0.855 0.078 1
O48 O 0.646 0.497 0.575 1
O49 O 0.696 0.838 0.753 1
O50 O 0.701 0.456 0.972 1
O51 O 0.701 0.472 0.254 1
O52 O 0.703 0.830 0.472 1
O53 O 0.783 0.038 0.806 1
O54 O 0.801 0.171 0.304 1
O55 O 0.808 0.173 0.589 1
O56 O 0.825 0.023 0.092 1
O57 O 0.830 0.202 0.194 1
O58 O 0.831 0.193 0.911 1
O59 O 0.833 0.488 0.750 1
O60 O 0.835 0.970 0.695 1
O61 O 0.837 0.716 0.972 1
O62 O 0.838 0.697 0.254 1
O63 O 0.843 0.462 0.473 1
O64 O 0.847 0.973 0.409 1
O65 O 0.856 0.637 0.574 1
O66 O 0.858 0.496 0.078 1
O67 O 0.883 0.495 0.361 1
O68 O 0.883 0.635 0.854 1
O69 O 0.970 0.833 0.195 1
O70 O 0.973 0.849 0.910 1
O71 O 0.975 0.195 0.689 1
O72 O 0.976 0.196 0.409 1
```

Record 7
An optimized crystal structure of CsTb2Cu3Se5. Source: Materials Project, functional PBE.

Summary:
calculated volume	24.28	A^3/atom
calculated total energy	-104.37	eV for the cell shown
symmetry	Cmcm, No. 63
total energy after the MP2020 corrections	-109.086	eV/cell

CIF file:
```
data_CsTb2Cu3Se5
_chemical_formula_sum 'Cs2 Tb4 Cu6 Se10'
_cell_length_a 7.640
_cell_length_b 7.640
_cell_length_c 17.507
_cell_angle_alpha 90.00
_cell_angle_beta 90.00
_cell_angle_gamma 148.48
_symmetry_space_group_name_H-M 'P 1'
_symmetry_Int_Tables_number 1
_symmetry_space_group_name_Hall 'P 1'
loop_
_atom_site_label
_atom_site_type_symbol
_atom_site_fract_x
_atom_site_fract_y
_atom_site_fract_z
_atom_site_occupancy
Cs1 Cs 0.061 0.939 0.750 1
Cs2 Cs 0.939 0.061 0.250 1
Tb1 Tb 0.192 0.808 0.091 1
Tb2 Tb 0.192 0.808 0.409 1
Tb3 Tb 0.808 0.192 0.591 1
Tb4 Tb 0.808 0.192 0.909 1
Cu1 Cu 0.341 0.659 0.750 1
Cu2 Cu 0.415 0.585 0.030 1
Cu3 Cu 0.415 0.585 0.470 1
Cu4 Cu 0.585 0.415 0.530 1
Cu5 Cu 0.585 0.415 0.970 1
Cu6 Cu 0.659 0.341 0.250 1
Se1 Se 0.167 0.833 0.570 1
Se2 Se 0.167 0.833 0.930 1
Se3 Se 0.238 0.762 0.250 1
Se4 Se 0.440 0.560 0.612 1
Se5 Se 0.440 0.560 0.888 1
Se6 Se 0.560 0.440 0.112 1
Se7 Se 0.560 0.440 0.388 1
Se8 Se 0.762 0.238 0.750 1
Se9 Se 0.833 0.167 0.070 1
Se10 Se 0.833 0.167 0.430 1
```

Record 8
An optimized crystal structure of AgAuF7. Source: Materials Project, functional PBE.

Summary:
calculated volume	16.68	A^3/atom
calculated total energy	-112.39	eV for the cell shown
symmetry	Pnma, No. 62
total energy after the MP2020 corrections	-125.322	eV/cell

CIF file:
```
data_AgAuF7
_chemical_formula_sum 'Ag4 Au4 F28'
_cell_length_a 7.872
_cell_length_b 7.382
_cell_length_c 10.335
_cell_angle_alpha 90.00
_cell_angle_beta 90.00
_cell_angle_gamma 90.00
_symmetry_space_group_name_H-M 'P 1'
_symmetry_Int_Tables_number 1
_symmetry_space_group_name_Hall 'P 1'
loop_
_atom_site_label
_atom_site_type_symbol
_atom_site_fract_x
_atom_site_fract_y
_atom_site_fract_z
_atom_site_occupancy
Ag1 Ag 0.133 0.250 0.242 1
Ag2 Ag 0.367 0.750 0.742 1
Ag3 Ag 0.633 0.250 0.258 1
Ag4 Ag 0.867 0.750 0.758 1
Au1 Au 0.196 0.750 0.056 1
Au2 Au 0.304 0.250 0.556 1
Au3 Au 0.696 0.750 0.444 1
Au4 Au 0.804 0.250 0.944 1
F1 F 0.033 0.250 0.026 1
F2 F 0.082 0.250 0.636 1
F3 F 0.113 0.750 0.695 1
F4 F 0.119 0.565 0.180 1
F5 F 0.119 0.935 0.180 1
F6 F 0.226 0.071 0.430 1
F7 F 0.226 0.429 0.430 1
F8 F 0.274 0.571 0.930 1
F9 F 0.274 0.929 0.930 1
F10 F 0.381 0.065 0.680 1
F11 F 0.381 0.435 0.680 1
F12 F 0.387 0.250 0.195 1
F13 F 0.418 0.750 0.136 1
F14 F 0.467 0.750 0.526 1
F15 F 0.533 0.250 0.474 1
F16 F 0.582 0.250 0.864 1
F17 F 0.613 0.750 0.805 1
F18 F 0.619 0.565 0.320 1
F19 F 0.619 0.935 0.320 1
F20 F 0.726 0.071 0.070 1
F21 F 0.726 0.429 0.070 1
F22 F 0.774 0.571 0.570 1
F23 F 0.774 0.929 0.570 1
F24 F 0.881 0.065 0.820 1
F25 F 0.881 0.435 0.820 1
F26 F 0.887 0.250 0.305 1
F27 F 0.918 0.750 0.364 1
F28 F 0.967 0.750 0.974 1
```